GGA-PBE Na3Zr3InP6O24, relaxed; electronic total energy = -7.5040 eV/atom; space group = P1, No. 1; V = 1621.1 Å³/cell; energy relative to the elements = -2.99 eV/atom
1.0
8.951 0.000 0.000
4.472 7.789 0.000
0.007 0.025 23.250
Na Zr In P O
9 9 3 18 72
direct
0.000 0.000 0.000 Na
0.001 0.009 0.496 Na
0.303 0.672 0.582 Na
0.333 0.343 0.168 Na
0.334 0.333 0.666 Na
0.657 0.685 0.832 Na
0.666 0.685 0.332 Na
0.698 0.338 0.415 Na
0.969 0.339 0.916 Na
0.330 0.343 0.313 Zr
0.335 0.343 0.021 Zr
0.335 0.343 0.813 Zr
0.660 0.682 0.982 Zr
0.667 0.675 0.187 Zr
0.668 0.676 0.687 Zr
0.668 0.682 0.480 Zr
0.993 0.016 0.649 Zr
0.999 0.010 0.149 Zr
0.000 0.002 0.851 In
0.006 0.002 0.350 In
0.331 0.336 0.517 In
0.040 0.340 0.417 P
0.043 0.635 0.917 P
0.291 0.718 0.750 P
0.293 0.009 0.250 P
0.329 0.636 0.419 P
0.333 0.052 0.917 P
0.374 0.677 0.084 P
0.376 0.969 0.584 P
0.626 0.052 0.417 P
0.626 0.341 0.917 P
0.666 0.384 0.583 P
0.667 0.967 0.084 P
0.707 0.009 0.751 P
0.708 0.301 0.252 P
0.957 0.384 0.083 P
0.961 0.675 0.584 P
0.999 0.302 0.752 P
0.999 0.718 0.251 P
0.008 0.187 0.411 O
0.023 0.813 0.913 O
0.024 0.187 0.699 O
0.026 0.805 0.197 O
0.127 0.367 0.364 O
0.127 0.519 0.864 O
0.138 0.365 0.077 O
0.143 0.518 0.580 O
0.144 0.312 0.472 O
0.154 0.544 0.971 O
0.162 0.320 0.756 O
0.162 0.537 0.256 O
0.166 0.042 0.913 O
0.174 0.816 0.412 O
0.179 0.035 0.197 O
0.182 0.801 0.695 O
0.194 0.838 0.090 O
0.198 0.977 0.591 O
0.216 0.826 0.804 O
0.220 0.975 0.305 O
0.306 0.560 0.475 O
0.307 0.166 0.970 O
0.309 0.538 0.756 O
0.310 0.172 0.256 O
0.356 0.147 0.580 O
0.356 0.515 0.077 O
0.358 0.139 0.863 O
0.362 0.516 0.367 O
0.460 0.702 0.030 O
0.460 0.853 0.531 O
0.474 0.694 0.742 O
0.474 0.850 0.242 O
0.486 0.650 0.137 O
0.486 0.878 0.637 O
0.494 0.873 0.923 O
0.500 0.374 0.579 O
0.501 0.644 0.424 O
0.506 0.146 0.077 O
0.511 0.139 0.364 O
0.515 0.367 0.863 O
0.526 0.320 0.256 O
0.527 0.171 0.756 O
0.537 0.320 0.971 O
0.551 0.162 0.471 O
0.640 0.500 0.635 O
0.640 0.881 0.137 O
0.642 0.873 0.423 O
0.647 0.503 0.923 O
0.684 0.850 0.743 O
0.686 0.482 0.242 O
0.691 0.468 0.528 O
0.692 0.856 0.030 O
0.794 0.035 0.698 O
0.798 0.186 0.199 O
0.805 0.036 0.411 O
0.809 0.185 0.913 O
0.810 0.231 0.308 O
0.814 0.976 0.805 O
0.828 0.206 0.590 O
0.828 0.986 0.090 O
0.840 0.482 0.743 O
0.841 0.694 0.242 O
0.848 0.701 0.530 O
0.849 0.467 0.028 O
0.857 0.504 0.423 O
0.865 0.643 0.924 O
0.869 0.498 0.135 O
0.871 0.653 0.637 O
0.965 0.824 0.305 O
0.968 0.230 0.808 O
0.975 0.205 0.090 O
0.981 0.836 0.590 O

=====

GGA-PBE LaNdHg2, relaxed; electronic total energy = -3.0498 eV/atom; space group = Fm-3m, No. 225; V = 117.0 Å³/cell; energy relative to the elements = -0.47 eV/atom
1.0
0.000 3.882 3.882
3.882 0.000 3.882
3.882 3.882 0.000
La Nd Hg
1 1 2
direct
0.000 0.000 0.000 La
0.500 0.500 0.500 Nd
0.250 0.250 0.250 Hg
0.750 0.750 0.750 Hg

=====

GGA-PBE Pr2Te4O11, relaxed; electronic total energy = -6.3258 eV/atom; space group = C2/c, No. 15; V = 553.9 Å³/cell; energy relative to the elements = -2.27 eV/atom
1.0
6.418 -2.665 0.000
6.418 2.665 0.000
-4.194 0.000 16.189
Pr Te O
4 8 22
direct
0.130 0.634 0.962 Pr
0.366 0.870 0.538 Pr
0.634 0.130 0.462 Pr
0.870 0.366 0.038 Pr
0.085 0.648 0.625 Te
0.105 0.659 0.301 Te
0.341 0.895 0.199 Te
0.352 0.915 0.875 Te
0.648 0.085 0.125 Te
0.659 0.105 0.801 Te
0.895 0.341 0.699 Te
0.915 0.352 0.375 Te
0.064 0.887 0.400 O
0.113 0.936 0.100 O
0.170 0.247 0.945 O
0.179 0.314 0.627 O
0.247 0.170 0.445 O
0.305 0.401 0.830 O
0.309 0.546 0.547 O
0.314 0.179 0.127 O
0.350 0.650 0.250 O
0.401 0.305 0.330 O
0.454 0.691 0.953 O
0.546 0.309 0.047 O
0.599 0.695 0.670 O
0.650 0.350 0.750 O
0.686 0.821 0.873 O
0.691 0.454 0.453 O
0.695 0.599 0.170 O
0.753 0.830 0.555 O
0.821 0.686 0.373 O
0.830 0.753 0.055 O
0.887 0.064 0.900 O
0.936 0.113 0.600 O

=====

GGA-PBE Li3BiB2O6, relaxed; electronic total energy = -6.5108 eV/atom; space group = P2_1/c, No. 14; ΔE to the lowest computed polymorph = 0 meV/atom; V = 537.9 Å³/cell; energy relative to the elements = -2.47 eV/atom
1.0
8.985 0.000 0.000
0.000 6.543 0.000
-4.718 0.000 9.149
Li Bi B O
12 4 8 24
direct
0.108 0.244 0.479 Li
0.108 0.256 0.979 Li
0.206 0.564 0.168 Li
0.206 0.936 0.668 Li
0.341 0.717 0.545 Li
0.341 0.783 0.045 Li
0.659 0.217 0.955 Li
0.659 0.283 0.455 Li
0.794 0.064 0.332 Li
0.794 0.436 0.832 Li
0.892 0.744 0.021 Li
0.892 0.756 0.521 Li
0.311 0.029 0.300 Bi
0.311 0.471 0.800 Bi
0.689 0.529 0.200 Bi
0.689 0.971 0.700 Bi
0.039 0.664 0.825 B
0.039 0.836 0.325 B
0.451 0.169 0.110 B
0.451 0.331 0.610 B
0.549 0.669 0.390 B
0.549 0.831 0.890 B
0.961 0.164 0.675 B
0.961 0.336 0.175 B
0.080 0.712 0.713 O
0.080 0.788 0.213 O
0.115 0.205 0.681 O
0.115 0.295 0.181 O
0.162 0.565 0.948 O
0.162 0.935 0.448 O
0.299 0.070 0.060 O
0.299 0.430 0.560 O
0.437 0.673 0.241 O
0.437 0.827 0.741 O
0.495 0.224 0.516 O
0.495 0.276 0.016 O
0.505 0.724 0.984 O
0.505 0.776 0.484 O
0.563 0.173 0.259 O
0.563 0.327 0.759 O
0.701 0.570 0.440 O
0.701 0.930 0.940 O
0.838 0.065 0.552 O
0.838 0.435 0.052 O
0.885 0.705 0.819 O
0.885 0.795 0.319 O
0.920 0.212 0.787 O
0.920 0.288 0.287 O

=====

GGA-PBE Eu2Zn2P3, relaxed; electronic total energy = -6.4570 eV/atom; space group = C2/m, No. 12; V = 292.9 Å³/cell; energy relative to the elements = -0.85 eV/atom
1.0
7.747 -2.051 0.000
7.747 2.051 0.000
-6.836 0.000 9.217
Eu Zn P
4 4 6
direct
0.108 0.108 0.452 Eu
0.230 0.230 0.833 Eu
0.770 0.770 0.167 Eu
0.892 0.892 0.548 Eu
0.090 0.090 0.152 Zn
0.459 0.459 0.184 Zn
0.541 0.541 0.816 Zn
0.910 0.910 0.848 Zn
0.113 0.113 0.960 P
0.348 0.348 0.702 P
0.428 0.428 0.381 P
0.572 0.572 0.619 P
0.652 0.652 0.298 P
0.887 0.887 0.040 P

=====

GGA-PBE Mg2Si5N8, relaxed; electronic total energy = -7.5171 eV/atom; space group = Pbca, No. 61; V = 1348.0 Å³/cell; energy relative to the elements = -1.24 eV/atom
1.0
9.597 0.000 0.000
0.000 13.394 0.000
0.000 0.000 10.487
Mg Si N
16 40 64
direct
0.064 0.078 0.126 Mg
0.064 0.422 0.626 Mg
0.127 0.007 0.401 Mg
0.127 0.493 0.901 Mg
0.373 0.507 0.401 Mg
0.373 0.993 0.901 Mg
0.436 0.578 0.126 Mg
0.436 0.922 0.626 Mg
0.564 0.078 0.374 Mg
0.564 0.422 0.874 Mg
0.627 0.007 0.099 Mg
0.627 0.493 0.599 Mg
0.873 0.507 0.099 Mg
0.873 0.993 0.599 Mg
0.936 0.578 0.374 Mg
0.936 0.922 0.874 Mg
0.010 0.216 0.486 Si
0.010 0.284 0.986 Si
0.039 0.152 0.755 Si
0.039 0.348 0.255 Si
0.158 0.545 0.164 Si
0.158 0.955 0.664 Si
0.216 0.647 0.594 Si
0.216 0.853 0.094 Si
0.228 0.724 0.329 Si
0.228 0.776 0.829 Si
0.272 0.224 0.329 Si
0.272 0.276 0.829 Si
0.284 0.147 0.594 Si
0.284 0.353 0.094 Si
0.342 0.045 0.164 Si
0.342 0.455 0.664 Si
0.461 0.652 0.755 Si
0.461 0.848 0.255 Si
0.490 0.716 0.486 Si
0.490 0.784 0.986 Si
0.510 0.216 0.014 Si
0.510 0.284 0.514 Si
0.539 0.152 0.745 Si
0.539 0.348 0.245 Si
0.658 0.545 0.336 Si
0.658 0.955 0.836 Si
0.716 0.647 0.906 Si
0.716 0.853 0.406 Si
0.728 0.724 0.171 Si
0.728 0.776 0.671 Si
0.772 0.224 0.171 Si
0.772 0.276 0.671 Si
0.784 0.147 0.906 Si
0.784 0.353 0.406 Si
0.842 0.045 0.336 Si
0.842 0.455 0.836 Si
0.961 0.652 0.745 Si
0.961 0.848 0.245 Si
0.990 0.716 0.014 Si
0.990 0.784 0.514 Si
0.041 0.024 0.755 N
0.041 0.476 0.255 N
0.051 0.603 0.054 N
0.051 0.897 0.554 N
0.118 0.199 0.617 N
0.118 0.301 0.117 N
0.118 0.696 0.463 N
0.118 0.804 0.963 N
0.119 0.217 0.881 N
0.119 0.283 0.381 N
0.137 0.688 0.737 N
0.137 0.812 0.237 N
0.228 0.112 0.260 N
0.228 0.388 0.760 N
0.228 0.522 0.565 N
0.228 0.978 0.065 N
0.272 0.022 0.565 N
0.272 0.478 0.065 N
0.272 0.612 0.260 N
0.272 0.888 0.760 N
0.363 0.188 0.737 N
0.363 0.312 0.237 N
0.381 0.717 0.881 N
0.381 0.783 0.381 N
0.382 0.196 0.463 N
0.382 0.304 0.963 N
0.382 0.699 0.617 N
0.382 0.801 0.117 N
0.449 0.103 0.054 N
0.449 0.397 0.554 N
0.459 0.524 0.755 N
0.459 0.976 0.255 N
0.541 0.024 0.745 N
0.541 0.476 0.245 N
0.551 0.603 0.446 N
0.551 0.897 0.946 N
0.618 0.199 0.883 N
0.618 0.301 0.383 N
0.618 0.696 0.037 N
0.618 0.804 0.537 N
0.619 0.217 0.619 N
0.619 0.283 0.119 N
0.637 0.688 0.763 N
0.637 0.812 0.263 N
0.728 0.112 0.240 N
0.728 0.388 0.740 N
0.728 0.522 0.935 N
0.728 0.978 0.435 N
0.772 0.022 0.935 N
0.772 0.478 0.435 N
0.772 0.612 0.240 N
0.772 0.888 0.740 N
0.863 0.188 0.763 N
0.863 0.312 0.263 N
0.881 0.717 0.619 N
0.881 0.783 0.119 N
0.882 0.196 0.037 N
0.882 0.304 0.537 N
0.882 0.699 0.883 N
0.882 0.801 0.383 N
0.949 0.103 0.446 N
0.949 0.397 0.946 N
0.959 0.524 0.745 N
0.959 0.976 0.245 N

=====

GGA-PBE KReN2, relaxed; electronic total energy = -7.7464 eV/atom; space group = Pbcm, No. 57; V = 596.0 Å³/cell; energy relative to the elements = -0.37 eV/atom
1.0
7.833 0.000 0.000
0.000 6.214 0.000
0.000 0.000 12.244
K Re N
8 8 16
direct
0.112 0.059 0.250 K
0.112 0.441 0.750 K
0.366 0.250 0.000 K
0.366 0.250 0.500 K
0.634 0.750 0.000 K
0.634 0.750 0.500 K
0.888 0.559 0.250 K
0.888 0.941 0.750 K
0.134 0.750 0.000 Re
0.134 0.750 0.500 Re
0.390 0.624 0.250 Re
0.390 0.876 0.750 Re
0.610 0.124 0.250 Re
0.610 0.376 0.750 Re
0.866 0.250 0.000 Re
0.866 0.250 0.500 Re
0.000 0.000 0.000 N
0.000 0.000 0.500 N
0.000 0.500 0.000 N
0.000 0.500 0.500 N
0.273 0.696 0.123 N
0.273 0.696 0.377 N
0.273 0.804 0.623 N
0.273 0.804 0.877 N
0.422 0.182 0.750 N
0.422 0.318 0.250 N
0.578 0.682 0.750 N
0.578 0.818 0.250 N
0.727 0.196 0.123 N
0.727 0.196 0.377 N
0.727 0.304 0.623 N
0.727 0.304 0.877 N

=====

GGA-PBE PbSO3, relaxed; electronic total energy = -5.8420 eV/atom; space group = P2_1/m, No. 11; V = 154.0 Å³/cell; energy relative to the elements = -1.72 eV/atom
1.0
4.566 0.000 0.000
0.000 5.407 0.000
-1.854 0.000 6.238
Pb S O
2 2 6
direct
0.143 0.250 0.281 Pb
0.857 0.750 0.719 Pb
0.413 0.250 0.824 S
0.587 0.750 0.176 S
0.237 0.750 0.133 O
0.302 0.025 0.673 O
0.302 0.475 0.673 O
0.698 0.525 0.327 O
0.698 0.975 0.327 O
0.763 0.250 0.867 O